VASP calculation (PBE-GGA) on Mn3PtN after structural relaxation.

Computed properties:
The calculated total energy comes out at -8.69 eV/atom. The MP2020-corrected energy comes out at -43.80 eV per cell.

Geometry as POSCAR:
```
Mn3PtN
1.0
3.945 0.000 0.000
0.000 3.945 0.000
0.000 0.000 3.945
Mn Pt N
3 1 1
Cartesian
1.972 1.972 0.000
1.972 0.000 1.972
0.000 1.972 1.972
0.000 0.000 0.000
1.972 1.972 1.972
```